[1]
Density functional theory data (PBE+U) for a relaxed structure of Sr5Cr3ClO12.

a = 10.2826 Å, b = 10.2826 Å, c = 7.3793 Å
α = 90.00°, β = 90.00°, γ = 120.00°
Fractional positions:
Sr: 0.0020 0.2540 0.0000
Sr: 0.2520 0.9980 0.0000
Sr: 0.2540 0.2520 0.5000
Sr: 0.3333 0.6667 0.2420
Sr: 0.3333 0.6667 0.7442
Sr: 0.6667 0.3333 0.2442
Sr: 0.6667 0.3333 0.7420
Sr: 0.7460 0.7480 0.0000
Sr: 0.7480 0.0020 0.5000
Sr: 0.9980 0.7460 0.5000
Cr: 0.0321 0.4054 0.4978
Cr: 0.3733 0.9679 0.4978
Cr: 0.4054 0.3733 0.9978
Cr: 0.5946 0.6267 0.4978
Cr: 0.6267 0.0321 0.9978
Cr: 0.9679 0.5946 0.9978
Cl: 0.0000 0.0000 0.2542
Cl: 0.0000 0.0000 0.7542
O: 0.0933 0.3469 0.3146
O: 0.0980 0.3622 0.6891
O: 0.1304 0.5997 0.4906
O: 0.1617 0.6815 0.9949
O: 0.2536 0.9067 0.3146
O: 0.2642 0.9020 0.6891
O: 0.3185 0.4802 0.9949
O: 0.3469 0.2536 0.8146
O: 0.3622 0.2642 0.1891
O: 0.4003 0.5307 0.4906
O: 0.4693 0.8696 0.4906
O: 0.4802 0.1617 0.4949
O: 0.5198 0.8383 0.9949
O: 0.5307 0.1304 0.9906
O: 0.5997 0.4693 0.9906
O: 0.6378 0.7358 0.6891
O: 0.6531 0.7464 0.3146
O: 0.6815 0.5198 0.4949
O: 0.7358 0.0980 0.1891
O: 0.7464 0.0933 0.8146
O: 0.8383 0.3185 0.4949
O: 0.8696 0.4003 0.9906
O: 0.9020 0.6378 0.1891
O: 0.9067 0.6531 0.8146



[2]
Density functional theory data (PBE+U) for a relaxed structure of K2MgFe4P6O16F12.

a = 7.5827 Å, b = 7.8113 Å, c = 10.8865 Å
α = 101.33°, β = 109.25°, γ = 92.03°
Fractional positions:
K: 0.0000 0.0000 0.0000
K: 0.4736 0.8636 0.4063
Mg: 0.6601 0.4111 0.5036
Fe: 0.2618 0.8903 0.7295
Fe: 0.5862 0.5793 0.8980
Fe: 0.7488 0.3949 0.2128
Fe: 0.9605 0.1922 0.5592
P: 0.1907 0.3062 0.3687
P: 0.3115 0.4912 0.0639
P: 0.5569 0.9822 0.0386
P: 0.5717 0.1846 0.7034
P: 0.9005 0.6235 0.7382
P: 0.9502 0.7841 0.4243
O: 0.0473 0.7761 0.7745
O: 0.0504 0.3710 0.2628
O: 0.1304 0.7686 0.5362
O: 0.1696 0.2621 0.4895
O: 0.3568 0.5463 0.9529
O: 0.3766 0.9952 0.9261
O: 0.4523 0.0108 0.6745
O: 0.4548 0.4386 0.1774
O: 0.5104 0.3449 0.7743
O: 0.6102 0.2080 0.5774
O: 0.6600 0.8234 0.0090
O: 0.6938 0.1462 0.0969
O: 0.8097 0.6198 0.3674
O: 0.8208 0.6142 0.8465
O: 0.8525 0.9466 0.4537
O: 0.9253 0.4509 0.6547
F: 0.0269 0.8111 0.3075
F: 0.1138 0.0910 0.7156
F: 0.1399 0.3448 0.0000
F: 0.2106 0.6431 0.1236
F: 0.2786 0.1494 0.3003
F: 0.3809 0.4472 0.4233
F: 0.4173 0.6891 0.7534
F: 0.4798 0.9489 0.1545
F: 0.7095 0.6676 0.6153
F: 0.7407 0.4933 0.0466
F: 0.7554 0.2761 0.3831
F: 0.7720 0.1555 0.8030

Output
Offset from the most stable computed form = 0.045 eV per atom



[3]
Density functional theory data (PBE+U) for a relaxed structure of BaEuSnWO6.

a = 8.5821 Å, b = 8.6323 Å, c = 8.6734 Å
α = 90.00°, β = 90.00°, γ = 90.00°
Fractional positions:
Ba: 0.0000 0.0000 0.0000
Ba: 0.0000 0.5000 0.0000
Ba: 0.5000 0.0000 0.0000
Ba: 0.5000 0.5000 0.5000
Eu: 0.0000 0.0000 0.5000
Eu: 0.0000 0.5000 0.5000
Eu: 0.5000 0.0000 0.5000
Eu: 0.5000 0.5000 0.0000
Sn: 0.2482 0.2383 0.7327
Sn: 0.2482 0.7617 0.2673
Sn: 0.7518 0.2383 0.2673
Sn: 0.7518 0.7617 0.7327
W: 0.2466 0.2465 0.2610
W: 0.2466 0.7535 0.7390
W: 0.7534 0.2465 0.7390
W: 0.7534 0.7535 0.2610
O: 0.0254 0.1946 0.3055
O: 0.0254 0.8054 0.6945
O: 0.1980 0.2648 0.0476
O: 0.1980 0.7352 0.9524
O: 0.2023 0.4566 0.3131
O: 0.2023 0.5434 0.6869
O: 0.2898 0.0166 0.2348
O: 0.2898 0.9834 0.7652
O: 0.3034 0.2088 0.4878
O: 0.3034 0.7912 0.5122
O: 0.4638 0.2990 0.2172
O: 0.4638 0.7010 0.7828
O: 0.5362 0.2990 0.7828
O: 0.5362 0.7010 0.2172
O: 0.6966 0.2088 0.5122
O: 0.6966 0.7912 0.4878
O: 0.7102 0.0166 0.7652
O: 0.7102 0.9834 0.2348
O: 0.7977 0.4566 0.6869
O: 0.7977 0.5434 0.3131
O: 0.8020 0.2648 0.9524
O: 0.8020 0.7352 0.0476
O: 0.9746 0.1946 0.6945
O: 0.9746 0.8054 0.3055

Output
Offset from the most stable computed form = 0.009 eV per atom



[4]
Density functional theory data (PBE+U) for a relaxed structure of Li5Mn3O8.

a = 5.0586 Å, b = 5.1618 Å, c = 5.7668 Å
α = 90.03°, β = 106.60°, γ = 98.79°
Fractional positions:
Li: 0.0000 0.0000 0.0000
Li: 0.4864 0.7597 0.1178
Li: 0.4945 0.7513 0.6273
Li: 0.5055 0.2487 0.3727
Li: 0.5136 0.2403 0.8822
Mn: 0.0000 0.0000 0.5000
Mn: 0.0000 0.5005 0.2474
Mn: 0.0000 0.4995 0.7526
O: 0.2190 0.8513 0.3145
O: 0.2204 0.8525 0.7959
O: 0.2287 0.3992 0.0573
O: 0.2315 0.3955 0.5580
O: 0.7685 0.6045 0.4420
O: 0.7713 0.6008 0.9427
O: 0.7796 0.1475 0.2041
O: 0.7810 0.1487 0.6855

Output
Offset from the most stable computed form = 0.005 eV per atom



[5]
Density functional theory data (PBE+U) for a relaxed structure of Li3TiCr2O6.

a = 2.9573 Å, b = 5.9840 Å, c = 12.9691 Å
α = 77.11°, β = 89.98°, γ = 89.92°
Fractional positions:
Li: 0.2500 0.0872 0.0818
Li: 0.2501 0.4109 0.4190
Li: 0.2500 0.7487 0.7499
Li: 0.7500 0.2513 0.2501
Li: 0.7499 0.5891 0.5810
Li: 0.7500 0.9128 0.9182
Ti: 0.2493 0.2467 0.7475
Ti: 0.7507 0.7533 0.2525
Cr: 0.2497 0.5820 0.0836
Cr: 0.2496 0.9169 0.4163
Cr: 0.7504 0.0831 0.5837
Cr: 0.7503 0.4180 0.9164
O: 0.2488 0.5153 0.2450
O: 0.2501 0.3182 0.5861
O: 0.2498 0.6468 0.9229
O: 0.2502 0.8546 0.5771
O: 0.2509 0.1866 0.9110
O: 0.2521 0.9920 0.2539
O: 0.7479 0.0080 0.7461
O: 0.7491 0.8134 0.0890
O: 0.7498 0.1454 0.4229
O: 0.7502 0.3532 0.0771
O: 0.7499 0.6818 0.4139
O: 0.7512 0.4847 0.7550

Output
Offset from the most stable computed form = 0.006 eV per atom



[6]
Density functional theory data (PBE+U) for a relaxed structure of MgV4O7F5.

a = 5.0483 Å, b = 5.3635 Å, c = 9.0558 Å
α = 73.92°, β = 74.33°, γ = 63.79°
Fractional positions:
Mg: 0.0000 0.0000 0.0000
V: 0.1581 0.0022 0.6081
V: 0.4485 0.2870 0.8522
V: 0.6639 0.5167 0.1331
V: 0.8930 0.7647 0.3686
O: 0.0308 0.8307 0.5311
O: 0.0807 0.3752 0.9456
O: 0.3746 0.5878 0.2787
O: 0.5289 0.9250 0.4375
O: 0.5707 0.3342 0.0301
O: 0.8689 0.0757 0.7948
O: 0.8729 0.7018 0.1633
F: 0.3699 0.1940 0.6733
F: 0.4198 0.6566 0.7386
F: 0.4524 0.8641 0.9858
F: 0.9307 0.1282 0.2302
F: 0.9557 0.3782 0.4784

Output
Offset from the most stable computed form = 0.042 eV per atom



[7]
Density functional theory data (PBE+U) for a relaxed structure of LiNi2P5O16.

a = 5.0365 Å, b = 6.8129 Å, c = 18.4659 Å
α = 90.00°, β = 90.96°, γ = 90.00°
Fractional positions:
Li: 0.0000 0.1442 0.0000
Li: 0.0000 0.8558 0.5000
Ni: 0.4746 0.3142 0.8752
Ni: 0.4746 0.6858 0.3752
Ni: 0.9972 0.3199 0.5616
Ni: 0.9972 0.6801 0.0616
P: 0.4847 0.0327 0.5964
P: 0.4847 0.9673 0.0964
P: 0.5082 0.3739 0.0494
P: 0.5082 0.6261 0.5494
P: 0.7301 0.2528 0.7181
P: 0.7301 0.7472 0.2181
P: 0.9618 0.3733 0.3868
P: 0.9618 0.6267 0.8868
P: 0.9919 0.0369 0.8401
P: 0.9919 0.9631 0.3401
O: 0.0790 0.2876 0.4567
O: 0.0790 0.7124 0.9567
O: 0.1351 0.4747 0.8511
O: 0.1351 0.5253 0.3511
O: 0.1942 0.0569 0.5750
O: 0.1942 0.9431 0.0750
O: 0.2861 0.0627 0.8554
O: 0.2861 0.9373 0.3554
O: 0.3511 0.4638 0.5849
O: 0.3511 0.5362 0.0849
O: 0.3621 0.2887 0.9825
O: 0.3621 0.7113 0.4825
O: 0.5264 0.1052 0.6780
O: 0.5264 0.8948 0.1780
O: 0.5276 0.1973 0.1094
O: 0.5276 0.8027 0.6094
O: 0.5755 0.3671 0.7723
O: 0.5755 0.6329 0.2723
O: 0.6742 0.4406 0.3966
O: 0.6742 0.5594 0.8966
O: 0.6896 0.1139 0.5459
O: 0.6896 0.8861 0.0459
O: 0.8019 0.4178 0.0355
O: 0.8019 0.5821 0.5355
O: 0.8128 0.1312 0.8955
O: 0.8128 0.8688 0.3955
O: 0.8901 0.3651 0.6643
O: 0.8901 0.6349 0.1643
O: 0.9264 0.1018 0.7590
O: 0.9264 0.8982 0.2590
O: 0.9367 0.1919 0.3297
O: 0.9367 0.8081 0.8297



[8]
Density functional theory data (PBE+U) for a relaxed structure of Li4V3Cr3Fe2O16.

a = 5.8660 Å, b = 5.8675 Å, c = 9.5853 Å
α = 89.32°, β = 89.31°, γ = 60.73°
Fractional positions:
Li: 0.0000 0.0000 0.0000
Li: 0.0021 0.0073 0.5001
Li: 0.3386 0.3418 0.8975
Li: 0.6698 0.6711 0.3946
V: 0.1735 0.6621 0.2190
V: 0.6622 0.1698 0.2172
V: 0.8304 0.8349 0.7198
Cr: 0.1711 0.1745 0.2142
Cr: 0.3411 0.8370 0.7191
Cr: 0.8336 0.3446 0.7192
Fe: 0.3299 0.3347 0.4951
Fe: 0.6644 0.6670 0.9941
O: 0.0009 0.0003 0.3147
O: 0.0415 0.4909 0.3388
O: 0.1510 0.6799 0.6098
O: 0.1642 0.1674 0.6024
O: 0.3225 0.8347 0.1039
O: 0.3407 0.3420 0.1042
O: 0.4836 0.4857 0.3426
O: 0.4907 0.0422 0.3380
O: 0.5229 0.5262 0.8432
O: 0.5345 0.9684 0.8405
O: 0.6759 0.1547 0.6100
O: 0.6788 0.6822 0.6087
O: 0.8312 0.3241 0.1051
O: 0.8367 0.8367 0.1079
O: 0.9651 0.5377 0.8406
O: 0.9957 0.9993 0.8148



[9]
Density functional theory data (PBE+U) for a relaxed structure of K4H4WC8N8O2.

a = 17.0294 Å, b = 11.9140 Å, c = 8.8097 Å
α = 90.00°, β = 90.00°, γ = 90.00°
Fractional positions:
K: 0.0428 0.2500 0.0212
K: 0.1385 0.2500 0.5311
K: 0.1509 0.5499 0.1958
K: 0.1509 0.9501 0.1958
K: 0.3491 0.0499 0.6958
K: 0.3491 0.4501 0.6958
K: 0.3615 0.7500 0.0311
K: 0.4572 0.7500 0.5212
K: 0.5428 0.2500 0.4788
K: 0.6385 0.2500 0.9689
K: 0.6509 0.5499 0.3042
K: 0.6509 0.9501 0.3042
K: 0.8491 0.0499 0.8042
K: 0.8491 0.4501 0.8042
K: 0.8615 0.7500 0.4689
K: 0.9572 0.7500 0.9788
H: 0.0680 0.0158 0.8683
H: 0.0680 0.4842 0.8683
H: 0.1536 0.0509 0.8433
H: 0.1536 0.4491 0.8433
H: 0.3464 0.5509 0.3433
H: 0.3464 0.9491 0.3433
H: 0.4320 0.5158 0.3683
H: 0.4320 0.9842 0.3683
H: 0.5680 0.0158 0.6317
H: 0.5680 0.4842 0.6317
H: 0.6536 0.0509 0.6567
H: 0.6536 0.4491 0.6567
H: 0.8464 0.5509 0.1567
H: 0.8464 0.9491 0.1567
H: 0.9320 0.5158 0.1317
H: 0.9320 0.9842 0.1317
W: 0.1360 0.7500 0.5971
W: 0.3640 0.2500 0.0971
W: 0.6360 0.7500 0.9029
W: 0.8640 0.2500 0.4029
C: 0.0386 0.6387 0.6687
C: 0.0386 0.8613 0.6687
C: 0.0608 0.7500 0.3947
C: 0.1405 0.7500 0.8441
C: 0.1716 0.5748 0.5721
C: 0.1716 0.9252 0.5721
C: 0.2149 0.7500 0.3985
C: 0.2415 0.2500 0.1762
C: 0.2585 0.7500 0.6762
C: 0.2851 0.2500 0.8985
C: 0.3284 0.0748 0.0721
C: 0.3284 0.4252 0.0721
C: 0.3595 0.2500 0.3441
C: 0.4392 0.2500 0.8947
C: 0.4614 0.1387 0.1687
C: 0.4614 0.3613 0.1687
C: 0.5386 0.6387 0.8313
C: 0.5386 0.8613 0.8313
C: 0.5608 0.7500 0.1053
C: 0.6405 0.7500 0.6559
C: 0.6716 0.5748 0.9279
C: 0.6716 0.9252 0.9279
C: 0.7149 0.7500 0.1015
C: 0.7415 0.2500 0.3238
C: 0.7585 0.7500 0.8238
C: 0.7851 0.2500 0.6015
C: 0.8284 0.0748 0.4279
C: 0.8284 0.4252 0.4279
C: 0.8595 0.2500 0.1559
C: 0.9392 0.2500 0.6053
C: 0.9614 0.1387 0.3313
C: 0.9614 0.3613 0.3313
N: 0.0109 0.0797 0.2829
N: 0.0109 0.4203 0.2829
N: 0.0199 0.7500 0.2869
N: 0.1379 0.7500 0.9777
N: 0.1758 0.2500 0.2174
N: 0.1921 0.0189 0.5561
N: 0.1921 0.4811 0.5561
N: 0.2428 0.2500 0.7929
N: 0.2572 0.7500 0.2929
N: 0.3079 0.5189 0.0561
N: 0.3079 0.9811 0.0561
N: 0.3242 0.7500 0.7174
N: 0.3621 0.2500 0.4777
N: 0.4801 0.2500 0.7869
N: 0.4891 0.5797 0.7829
N: 0.4891 0.9203 0.7829
N: 0.5109 0.0797 0.2171
N: 0.5109 0.4203 0.2171
N: 0.5199 0.7500 0.2131
N: 0.6379 0.7500 0.5223
N: 0.6758 0.2500 0.2826
N: 0.6921 0.0189 0.9439
N: 0.6921 0.4811 0.9439
N: 0.7428 0.2500 0.7071
N: 0.7572 0.7500 0.2071
N: 0.8079 0.5189 0.4439
N: 0.8079 0.9811 0.4439
N: 0.8242 0.7500 0.7826
N: 0.8621 0.2500 0.0223
N: 0.9801 0.2500 0.7131
N: 0.9891 0.5797 0.7171
N: 0.9891 0.9203 0.7171
O: 0.1119 0.0534 0.9191
O: 0.1119 0.4466 0.9191
O: 0.3881 0.5534 0.4191
O: 0.3881 0.9466 0.4191
O: 0.6119 0.0534 0.5809
O: 0.6119 0.4466 0.5809
O: 0.8881 0.5534 0.0809
O: 0.8881 0.9466 0.0809



Let's list total energy after the MP2020 corrections in order: -309.08 -282.17 -336.13 -110.93 -186.74 -127.72 -348.68 -223.48 -756.81 eV for the cell shown.
Let's list energy in order: -280.6 -256.6 -301.9 -100.4 -170.5 -113.8 -316.5 -196.9 -733.6 eV/cell.